No. 1
Here is a relaxed structure of Li13Mn3Sb2O16 from the Materials Project. Energies are from GGA+U.

Calculated values
Formation energy from the elements, meV per atom: -2111

Structure (CIF):
```
data_Li13Mn3Sb2O16
_chemical_formula_sum 'Li26 Mn6 Sb4 O32'
_space_group_name_H-M_alt 'C 1 m 1'
_space_group_IT_number 8
_space_group_name_Hall 'C -2y'
_cell_length_a 10.384
_cell_length_b 6.090
_cell_length_c 10.019
_cell_angle_alpha 90.00
_cell_angle_beta 91.21
_cell_angle_gamma 90.00
loop_
_atom_site_label
_atom_site_type_symbol
_atom_site_fract_x
_atom_site_fract_y
_atom_site_fract_z
Li1 Li 0.000 0.000 0.000
Li2 Li 0.002 0.500 0.018
Li3 Li 0.053 0.297 0.249
Li4 Li 0.056 0.000 0.757
Li5 Li 0.129 0.303 0.489
Li6 Li 0.165 0.000 0.275
Li7 Li 0.251 0.200 0.713
Li8 Li 0.346 0.500 0.696
Li9 Li 0.352 0.000 0.212
Li10 Li 0.497 0.500 0.521
Mn1 Mn 0.255 0.252 0.982
Mn2 Mn 0.346 0.000 0.481
Sb1 Sb 0.020 0.500 0.745
Sb2 Sb 0.329 0.500 0.247
O1 O 0.097 0.257 0.863
O2 O 0.165 0.500 0.132
O3 O 0.175 0.500 0.635
O4 O 0.184 0.000 0.581
O5 O 0.187 0.000 0.079
O6 O 0.256 0.247 0.350
O7 O 0.328 0.500 0.888
O8 O 0.356 0.000 0.854
O9 O 0.402 0.266 0.115
O10 O 0.434 0.238 0.630
O11 O 0.496 0.000 0.379
O12 O 0.499 0.500 0.334
```

No. 2
Here is a relaxed structure of VOF from the Materials Project. Energies are from GGA+U.

Calculated values
Formation energy from the elements, meV per atom: -2695

Structure (CIF):
```
data_VOF
_chemical_formula_sum 'V16 O16 F16'
_space_group_name_H-M_alt 'C 1 2 1'
_space_group_IT_number 5
_space_group_name_Hall 'C 2y'
_cell_length_a 6.674
_cell_length_b 6.694
_cell_length_c 12.510
_cell_angle_alpha 90.00
_cell_angle_beta 90.06
_cell_angle_gamma 90.00
loop_
_atom_site_label
_atom_site_type_symbol
_atom_site_fract_x
_atom_site_fract_y
_atom_site_fract_z
V1 V 0.000 0.000 0.000
V2 V 0.000 0.050 0.500
V3 V 0.000 0.995 0.251
V4 V 0.029 0.521 0.625
V5 V 0.030 0.536 0.125
O1 O 0.000 0.339 0.500
O2 O 0.000 0.707 0.252
O3 O 0.000 0.715 0.000
O4 O 0.182 0.022 0.375
O5 O 0.184 0.019 0.875
F1 F 0.000 0.321 0.000
F2 F 0.000 0.729 0.500
F3 F 0.001 0.315 0.751
F4 F 0.209 0.021 0.625
F5 F 0.211 0.010 0.125
```

No. 3
Here is a relaxed structure of MgAl4Cr2O10 from the Materials Project. Energies are from GGA+U.

Calculated values
Excess energy over the best structure of this formula in the dataset, meV per atom: 70
Formation energy from the elements, meV per atom: -2897

Structure (CIF):
```
data_MgAl4Cr2O10
_chemical_formula_sum 'Mg2 Al8 Cr4 O20'
_space_group_name_H-M_alt 'C 1 2/m 1'
_space_group_IT_number 12
_space_group_name_Hall '-C 2y'
_cell_length_a 9.632
_cell_length_b 3.680
_cell_length_c 10.300
_cell_angle_alpha 90.00
_cell_angle_beta 97.13
_cell_angle_gamma 90.00
loop_
_atom_site_label
_atom_site_type_symbol
_atom_site_fract_x
_atom_site_fract_y
_atom_site_fract_z
Mg1 Mg 0.000 0.000 0.000
Al1 Al 0.143 0.500 0.548
Al2 Al 0.180 0.500 0.898
Cr1 Cr 0.156 0.500 0.267
O1 O 0.008 0.500 0.120
O2 O 0.027 0.500 0.390
O3 O 0.195 0.000 0.937
O4 O 0.201 0.000 0.567
O5 O 0.228 0.000 0.246
```